K3Nb6SBr17 | PBE | optimized geometry

Structure (CIF):
```
data_K3Nb6SBr17
_chemical_formula_sum 'K12 Nb24 S4 Br68'
_cell_length_a 17.7503
_cell_length_b 19.1501
_cell_length_c 9.5582
_cell_angle_alpha 90.00
_cell_angle_beta 91.04
_cell_angle_gamma 90.00
_symmetry_space_group_name_H-M 'C 1 2/c 1'
_symmetry_Int_Tables_number 15
_symmetry_space_group_name_Hall '-C 2yc'
loop_
_atom_site_label
_atom_site_type_symbol
_atom_site_fract_x
_atom_site_fract_y
_atom_site_fract_z
K1 K 0.0000 0.0393 0.2500
K2 K 0.2270 0.4494 0.1569
Nb1 Nb 0.0161 0.3197 0.5188
Nb2 Nb 0.0713 0.1871 0.6429
Nb3 Nb 0.1250 0.3228 0.7617
S1 S 0.0000 0.2772 0.7500
Br1 Br 0.0000 0.3821 0.2500
Br2 Br 0.0591 0.4325 0.8896
Br3 Br 0.0641 0.1229 0.8958
Br4 Br 0.0793 0.2183 0.3793
Br5 Br 0.1259 0.2750 0.0266
Br6 Br 0.1267 0.0592 0.5606
Br7 Br 0.1441 0.3886 0.5222
Br8 Br 0.2133 0.2211 0.6834
Br9 Br 0.2455 0.1078 0.1654
```

Calculated values
Calculated volume: 30.1 A^3/atom
E_form: -1.493 eV per atom
MP2020-corrected energy: -5.045 eV/atom